An optimized crystal structure of Na6Zn6SiSn2S11O48. Source: the Materials Project database, functional PBE-GGA.

abc: 8.8036 15.2170 22.7032
angles: 89.83 89.93 89.90
Sites, in units of the cell vectors:
Na 0.0000 0.0000 0.0000
Na 0.9999 0.3298 0.3250
Na 0.0065 0.6684 0.6685
Na 0.0066 0.9929 0.5017
Na 0.0094 0.6637 0.1623
Na 0.3214 0.3116 0.7543
Na 0.3625 0.0025 0.7457
Na 0.3702 0.6640 0.4097
Na 0.4949 0.4913 0.9970
Na 0.4965 0.4897 0.4983
Na 0.4983 0.8307 0.8328
Na 0.4996 0.1618 0.6650
Na 0.4998 0.8308 0.3254
Na 0.5088 0.1642 0.1621
Na 0.6343 0.6644 0.9171
Na 0.6815 0.6517 0.5843
Na 0.8698 0.1632 0.4098
Na 0.9955 0.3287 0.8387
Zn 0.0004 0.6635 0.8175
Zn 0.0021 0.3317 0.9835
Zn 0.0045 0.3335 0.4820
Zn 0.0050 0.6625 0.0162
Zn 0.0065 0.6690 0.5162
Zn 0.0085 0.0008 0.6491
Zn 0.4925 0.8360 0.9860
Zn 0.4944 0.1648 0.8182
Zn 0.4939 0.8241 0.1836
Zn 0.4960 0.4998 0.6515
Zn 0.4966 0.1619 0.5183
Zn 0.4981 0.4956 0.8506
Zn 0.4994 0.1664 0.0154
Zn 0.4992 0.5004 0.3430
Zn 0.5035 0.8293 0.6808
Zn 0.5030 0.8381 0.4852
Zn 0.9939 0.3232 0.1831
Zn 0.9989 0.0009 0.3435
Si 0.1491 0.1449 0.7472
Si 0.3581 0.6483 0.2523
Si 0.8572 0.1486 0.2524
Sn 0.0050 0.6641 0.3119
Sn 0.4939 0.5009 0.1481
Sn 0.5046 0.1639 0.3123
Sn 0.9937 0.0019 0.1485
Sn 0.9969 0.3284 0.6827
Sn 0.9988 0.0034 0.8491
S 0.1442 0.4767 0.0829
S 0.1439 0.5163 0.4181
S 0.1455 0.8144 0.4168
S 0.1446 0.8488 0.7484
S 0.1497 0.1852 0.0816
S 0.2027 0.8321 0.0830
S 0.2055 0.5013 0.7477
S 0.2108 0.1649 0.4171
S 0.2932 0.6656 0.9153
S 0.2933 0.9971 0.2502
S 0.2964 0.3327 0.5814
S 0.3514 0.3522 0.2503
S 0.3517 0.3136 0.9154
S 0.3516 0.6843 0.5814
S 0.3529 0.0157 0.9156
S 0.3528 0.9789 0.5826
S 0.6442 0.3135 0.4178
S 0.6442 0.9770 0.0828
S 0.6447 0.0162 0.4178
S 0.6474 0.3541 0.7482
S 0.6485 0.6463 0.7487
S 0.6506 0.6848 0.0808
S 0.7053 0.3324 0.0825
S 0.7072 0.9967 0.7478
S 0.7098 0.6646 0.4179
S 0.7907 0.1654 0.9157
S 0.7934 0.4971 0.2501
S 0.7959 0.8325 0.5820
S 0.8502 0.1839 0.5791
S 0.8517 0.8524 0.2501
S 0.8533 0.4781 0.5814
S 0.8552 0.5177 0.9153
S 0.8552 0.8129 0.9150
O 0.0686 0.1077 0.8076
O 0.0723 0.4293 0.4226
O 0.0745 0.5563 0.3629
O 0.0754 0.2465 0.7433
O 0.0759 0.8885 0.6961
O 0.0762 0.9014 0.4081
O 0.0777 0.0930 0.0861
O 0.0783 0.7612 0.7570
O 0.0776 0.7735 0.4691
O 0.0787 0.2227 0.0286
O 0.0806 0.5670 0.0777
O 0.0837 0.4359 0.1367
O 0.1025 0.7549 0.0768
O 0.1034 0.9155 0.0886
O 0.1066 0.5779 0.7542
O 0.1088 0.4178 0.7416
O 0.1095 0.2440 0.4200
O 0.1136 0.0854 0.4122
O 0.1176 0.5743 0.4690
O 0.1208 0.4251 0.0290
O 0.1226 0.2355 0.1354
O 0.1232 0.7553 0.3630
O 0.1229 0.9064 0.8030
O 0.1287 0.0821 0.6914
O 0.1664 0.6544 0.2533
O 0.1803 0.0058 0.9112
O 0.1840 0.3219 0.9213
O 0.1851 0.6734 0.5762
O 0.1845 0.9860 0.5855
O 0.1884 0.3458 0.2423
O 0.1971 0.3462 0.5304
O 0.2004 0.0129 0.1953
O 0.2009 0.6525 0.9689
O 0.2017 0.6790 0.8618
O 0.2017 0.9831 0.3030
O 0.2034 0.3191 0.6380
O 0.2919 0.8487 0.0288
O 0.2954 0.8211 0.1361
O 0.2963 0.5121 0.6936
O 0.2995 0.4808 0.8002
O 0.3037 0.1796 0.3612
O 0.3068 0.1547 0.4686
O 0.3114 0.5092 0.4121
O 0.3143 0.8181 0.4212
O 0.3144 0.8450 0.7441
O 0.3164 0.1729 0.0755
O 0.3191 0.4844 0.0860
O 0.3340 0.1582 0.7547
O 0.3759 0.5840 0.1935
O 0.3777 0.0712 0.9672
O 0.3778 0.2631 0.8597
O 0.3803 0.7383 0.6341
O 0.3825 0.0822 0.2546
O 0.3841 0.4022 0.3035
O 0.3835 0.9247 0.5297
O 0.3899 0.2527 0.5776
O 0.3911 0.4125 0.5883
O 0.3957 0.5866 0.9100
O 0.3968 0.7441 0.9208
O 0.3968 0.9236 0.2425
O 0.4132 0.0533 0.8596
O 0.4172 0.9395 0.6377
O 0.4197 0.6078 0.3139
O 0.4207 0.2610 0.2546
O 0.4209 0.2706 0.9674
O 0.4211 0.9269 0.9213
O 0.4216 0.7225 0.5269
O 0.4233 0.4020 0.9104
O 0.4246 0.0670 0.5775
O 0.4287 0.5961 0.5872
O 0.4302 0.3874 0.1959
O 0.4311 0.7443 0.2448
O 0.5731 0.9292 0.4221
O 0.5745 0.0561 0.3625
O 0.5752 0.7344 0.7431
O 0.5755 0.4011 0.4091
O 0.5771 0.2717 0.4698
O 0.5776 0.3925 0.6945
O 0.5778 0.5934 0.0857
O 0.5802 0.0668 0.0767
O 0.5805 0.6045 0.8023
O 0.5824 0.2646 0.7538
O 0.5821 0.7216 0.0259
O 0.5831 0.9360 0.1362
O 0.6033 0.2549 0.0767
O 0.6043 0.4157 0.0881
O 0.6036 0.9190 0.7442
O 0.6097 0.7436 0.4207
O 0.6110 0.0766 0.7555
O 0.6136 0.5848 0.4127
O 0.6198 0.0748 0.4683
O 0.6200 0.7370 0.1334
O 0.6218 0.5935 0.6940
O 0.6224 0.9245 0.0288
O 0.6229 0.2558 0.3633
O 0.6235 0.4067 0.8012
O 0.6655 0.1548 0.2535
O 0.6832 0.1780 0.5759
O 0.6855 0.4885 0.5885
O 0.6849 0.5118 0.9098
O 0.6861 0.8217 0.9209
O 0.6885 0.8458 0.2421
O 0.6985 0.1509 0.9688
O 0.6994 0.8147 0.6346
O 0.7002 0.5133 0.1955
O 0.7008 0.1754 0.8609
O 0.7021 0.4833 0.3031
O 0.7039 0.8443 0.5280
O 0.7952 0.3215 0.1362
O 0.7951 0.3483 0.0289
O 0.7983 0.9789 0.8032
O 0.8019 0.0085 0.6958
O 0.8034 0.6535 0.4710
O 0.8064 0.6786 0.3631
O 0.8123 0.0089 0.4114
O 0.8135 0.3182 0.4216
O 0.8155 0.6547 0.7542
O 0.8168 0.6735 0.0752
O 0.8180 0.3472 0.7418
O 0.8189 0.9842 0.0861
O 0.8740 0.0842 0.1936
O 0.8747 0.2406 0.6339
O 0.8774 0.5750 0.9678
O 0.8790 0.7593 0.8615
O 0.8810 0.4234 0.5299
O 0.8825 0.5825 0.2547
O 0.8845 0.9022 0.3034
O 0.8878 0.0810 0.9124
O 0.8899 0.7496 0.5769
O 0.8926 0.2421 0.9207
O 0.8935 0.9109 0.5886
O 0.8969 0.4238 0.2425
O 0.9183 0.2260 0.5265
O 0.9195 0.1078 0.3137
O 0.9207 0.5572 0.8615
O 0.9215 0.5670 0.5778
O 0.9208 0.7610 0.2544
O 0.9216 0.0972 0.5864
O 0.9226 0.4289 0.9221
O 0.9228 0.4384 0.6368
O 0.9234 0.7749 0.9682
O 0.9257 0.9035 0.9086
O 0.9303 0.2444 0.2448
O 0.9303 0.8877 0.1958

Results
Energy with MP2020 corrections, eV per atom: -6.2056
Space group: P1
ΔE_f, meV/atom: -1990
Total magnetic moment, Bohr magnetons per cell: 0.00
Calculated volume, A^3/atom: 13.700

---

An optimized crystal structure of Na14Zn6Si5Sn2S7O48. Source: the Materials Project database, functional PBE-GGA.

abc: 9.1663 15.7911 22.1447
angles: 89.69 90.00 89.79
Sites, in units of the cell vectors:
Na 0.0000 0.0000 0.0000
Na 0.9996 0.3159 0.3385
Na 0.0231 0.0153 0.3394
Na 0.0340 0.6554 0.3222
Na 0.0404 0.9819 0.6834
Na 0.0568 0.3403 0.6767
Na 0.0578 0.3069 0.0071
Na 0.1662 0.8440 0.1681
Na 0.1680 0.8074 0.5062
Na 0.1851 0.4810 0.1784
Na 0.1868 0.1511 0.8280
Na 0.2018 0.5179 0.8461
Na 0.2221 0.8193 0.8461
Na 0.2250 0.4986 0.5006
Na 0.2410 0.1633 0.1720
Na 0.3579 0.3110 0.5889
Na 0.3683 0.6642 0.4190
Na 0.3682 0.6658 0.9162
Na 0.3721 0.0018 0.2528
Na 0.3719 0.3370 0.0869
Na 0.3830 0.9982 0.7557
Na 0.4927 0.1559 0.6909
Na 0.5233 0.8214 0.3302
Na 0.5351 0.4768 0.6861
Na 0.5447 0.5075 0.3211
Na 0.5484 0.1741 0.9996
Na 0.5527 0.8482 0.6846
Na 0.5595 0.1573 0.3301
Na 0.6676 0.6656 0.8386
Na 0.6747 0.3483 0.1831
Na 0.6844 0.9735 0.1710
Na 0.6848 0.0089 0.8280
Na 0.6902 0.6867 0.5043
Na 0.7034 0.3189 0.8377
Na 0.7360 0.6601 0.1881
Na 0.8455 0.4991 0.2520
Na 0.8490 0.1555 0.9244
Na 0.8533 0.5040 0.7590
Na 0.8567 0.8218 0.0834
Na 0.8576 0.8409 0.5888
Na 0.8592 0.1619 0.4142
Na 0.9833 0.6687 0.6801
Zn 0.3453 0.6597 0.5734
Zn 0.3567 0.6616 0.7822
Zn 0.3664 0.0065 0.6150
Zn 0.3706 0.3208 0.7498
Zn 0.3735 0.6544 0.2653
Zn 0.3765 0.3088 0.4213
Zn 0.3795 0.3197 0.9323
Zn 0.3899 0.3284 0.2475
Zn 0.3909 0.0058 0.0829
Zn 0.8385 0.8315 0.7528
Zn 0.8408 0.8271 0.9366
Zn 0.8508 0.8202 0.4305
Zn 0.8514 0.8212 0.2472
Zn 0.8533 0.1528 0.7665
Zn 0.8604 0.5029 0.5968
Zn 0.8598 0.5062 0.1146
Zn 0.8619 0.1603 0.2795
Zn 0.8765 0.1526 0.0681
Si 0.0010 0.6870 0.8401
Si 0.0125 0.6481 0.5085
Si 0.0654 0.6683 0.1789
Si 0.1605 0.1680 0.6789
Si 0.2164 0.1820 0.3375
Si 0.2183 0.1491 0.0071
Si 0.5063 0.4718 0.8393
Si 0.5088 0.5071 0.1727
Si 0.5272 0.1749 0.8414
Si 0.5529 0.8317 0.8405
Si 0.6704 0.3327 0.3426
Si 0.6796 0.9897 0.0108
Si 0.6998 0.6752 0.3432
Si 0.7169 0.0068 0.6730
Si 0.7191 0.9713 0.3390
Sn 0.3511 0.6600 0.0758
Sn 0.3769 0.0032 0.4067
Sn 0.3786 0.9985 0.9097
Sn 0.8481 0.5043 0.9069
Sn 0.8602 0.4974 0.4082
Sn 0.8759 0.1591 0.5757
S 0.0066 0.3428 0.5107
S 0.0091 0.3082 0.1712
S 0.0185 0.0124 0.1750
S 0.0212 0.9793 0.8431
S 0.0577 0.3348 0.8433
S 0.0760 0.0020 0.5088
S 0.1512 0.5019 0.0088
S 0.1689 0.8339 0.3449
S 0.2074 0.5127 0.6718
S 0.2101 0.4773 0.3459
S 0.2146 0.8097 0.6709
S 0.2255 0.8411 0.0109
S 0.5018 0.8510 0.5108
S 0.5059 0.8120 0.1727
S 0.5284 0.1486 0.5108
S 0.5597 0.4955 0.5109
S 0.5728 0.1620 0.1719
S 0.6494 0.6575 0.6679
S 0.6962 0.6459 0.0117
S 0.7201 0.3160 0.6684
S 0.7233 0.3536 0.0105
O 0.0407 0.1604 0.0071
O 0.0439 0.1612 0.3303
O 0.0437 0.4820 0.3444
O 0.0440 0.5021 0.6714
O 0.0529 0.8174 0.6733
O 0.0544 0.1585 0.7376
O 0.0561 0.1926 0.6185
O 0.0562 0.5013 0.0624
O 0.0603 0.5071 0.9508
O 0.0673 0.8301 0.0110
O 0.0785 0.8447 0.2902
O 0.0816 0.8243 0.4006
O 0.1471 0.3247 0.8982
O 0.1469 0.3465 0.7878
O 0.1660 0.0065 0.4507
O 0.1672 0.3378 0.5103
O 0.1714 0.0013 0.5621
O 0.1713 0.3145 0.1722
O 0.1710 0.6561 0.2378
O 0.1710 0.6922 0.1192
O 0.1753 0.6650 0.8346
O 0.1805 0.0007 0.1745
O 0.1861 0.9848 0.8429
O 0.1928 0.6549 0.5084
O 0.2215 0.2425 0.3969
O 0.2395 0.4245 0.0079
O 0.2441 0.0803 0.9503
O 0.2442 0.5807 0.0063
O 0.2446 0.5654 0.7243
O 0.2492 0.4302 0.2908
O 0.2498 0.7639 0.6132
O 0.2539 0.0793 0.6728
O 0.2593 0.5522 0.6139
O 0.2593 0.9153 0.3476
O 0.2600 0.4340 0.4019
O 0.2676 0.5648 0.3458
O 0.2695 0.8901 0.0649
O 0.2696 0.2508 0.6810
O 0.2707 0.7611 0.3411
O 0.2758 0.7642 0.7233
O 0.2765 0.8842 0.9540
O 0.2773 0.4273 0.6747
O 0.2792 0.8966 0.6705
O 0.2831 0.1063 0.0694
O 0.2974 0.2423 0.9994
O 0.3029 0.0873 0.3464
O 0.3032 0.7552 0.0088
O 0.3041 0.2214 0.2791
O 0.4165 0.4272 0.8937
O 0.4220 0.5557 0.1153
O 0.4240 0.4152 0.1765
O 0.4288 0.8945 0.1701
O 0.4384 0.9131 0.8484
O 0.4391 0.7636 0.5078
O 0.4395 0.8924 0.4530
O 0.4418 0.0818 0.8440
O 0.4473 0.2164 0.7824
O 0.4475 0.7496 0.8325
O 0.4487 0.8977 0.5634
O 0.4533 0.4258 0.5071
O 0.4531 0.5706 0.8341
O 0.4570 0.2322 0.5076
O 0.4588 0.7697 0.2295
O 0.4713 0.7572 0.1188
O 0.4774 0.2394 0.1696
O 0.4789 0.0843 0.1746
O 0.4791 0.5785 0.5097
O 0.4798 0.1019 0.5642
O 0.4930 0.4163 0.7766
O 0.4939 0.5666 0.2318
O 0.4970 0.1000 0.4527
O 0.5087 0.2307 0.9024
O 0.5233 0.6638 0.3353
O 0.5316 0.6555 0.0109
O 0.5348 0.9747 0.3480
O 0.5402 0.9946 0.6656
O 0.5576 0.6584 0.6119
O 0.5594 0.3262 0.6667
O 0.5586 0.6563 0.7228
O 0.5635 0.3496 0.0083
O 0.5652 0.0065 0.9535
O 0.5694 0.3241 0.4020
O 0.5798 0.3609 0.2820
O 0.5874 0.9746 0.0733
O 0.6422 0.8608 0.7794
O 0.6490 0.4846 0.5660
O 0.6572 0.5006 0.4559
O 0.6602 0.8102 0.8953
O 0.6617 0.1623 0.2280
O 0.6619 0.8465 0.5095
O 0.6654 0.1632 0.1172
O 0.6666 0.8219 0.1700
O 0.6857 0.4942 0.1663
O 0.6906 0.4748 0.8473
O 0.6933 0.1580 0.5100
O 0.7048 0.1634 0.8344
O 0.7216 0.7288 0.4051
O 0.7246 0.5966 0.9534
O 0.7301 0.0669 0.7318
O 0.7295 0.9159 0.2764
O 0.7420 0.5776 0.6704
O 0.7436 0.5977 0.0649
O 0.7453 0.7332 0.6650
O 0.7546 0.2608 0.6146
O 0.7673 0.0813 0.0105
O 0.7677 0.7280 0.0092
O 0.7699 0.2480 0.3356
O 0.7710 0.0699 0.3340
O 0.7741 0.4018 0.0627
O 0.7745 0.2770 0.7248
O 0.7819 0.5800 0.3466
O 0.7849 0.7152 0.2850
O 0.7862 0.3944 0.9522
O 0.7883 0.2673 0.0082
O 0.7881 0.4128 0.3493
O 0.7929 0.4007 0.6635
O 0.7964 0.9126 0.0017
O 0.8016 0.9149 0.6772
O 0.8034 0.0547 0.6145
O 0.8090 0.9281 0.3944
O 0.9197 0.5896 0.8472
O 0.9222 0.7207 0.7769
O 0.9370 0.2561 0.5085
O 0.9382 0.7423 0.4989
O 0.9398 0.6079 0.5696
O 0.9466 0.3963 0.1699
O 0.9466 0.9276 0.1769
O 0.9507 0.2675 0.2268
O 0.9519 0.3857 0.4541
O 0.9562 0.2628 0.8391
O 0.9559 0.7513 0.1813
O 0.9601 0.0667 0.8419
O 0.9603 0.3906 0.5649
O 0.9677 0.0546 0.1184
O 0.9677 0.2598 0.1162
O 0.9679 0.4171 0.8464
O 0.9693 0.9366 0.8980
O 0.9708 0.5800 0.1728
O 0.9770 0.7500 0.8960
O 0.9814 0.0638 0.2288
O 0.9826 0.0813 0.5060
O 0.9843 0.9320 0.7871
O 0.9870 0.5784 0.4518
O 0.9869 0.9251 0.5082

Results
Energy with MP2020 corrections, eV per atom: -6.1916
Space group: P1
ΔE_f, meV/atom: -2196
Total magnetic moment, Bohr magnetons per cell: 0.00
Calculated volume, A^3/atom: 13.030